Compound: MnSe
Source: the Materials Project
Functional: PBE
Structure: relaxed

Values from the calculation:
Maximum piezoelectric response in C/m2: 0.27
Theoretical density in kg/m³: 4229
Calculated total energy in eV/atom: -6.682
Calculated formation energy in meV/atom: -589
MP2020-corrected energy in eV/cell: -13.8

Unit cell a=4.205 b=4.205 c=4.205 alpha=60.00 beta=60.00 gamma=60.00
Atoms (fractional coordinates):
1 Mn 0.000 0.000 0.000
2 Se 0.750 0.750 0.750